Entry from Materials Project: a relaxed structure of Mg2SiO4 (PBE).

Calculated values
Its total magnetic moment is 0.00 μB per formula unit. The calculation puts the energy of formation from the pure elements at -3.150 eV per atom. The value obtained for the polymorph energy (0 for the lowest one) is 72 meV per atom. The crystal system is cubic. As for the total DFT energy (no corrections): -47.720 eV per formula unit.

Cell and atoms, written as extended XYZ:
```
14
Lattice="0.0000 4.0767 4.0767 4.0767 0.0000 4.0767 4.0767 4.0767 0.0000" Properties=species:S:1:pos:R:3 pbc="T T T"
Mg 0.0000 0.0000 0.0000
Mg 2.0383 2.0383 0.0000
Mg 2.0383 0.0000 2.0383
Mg 0.0000 2.0383 2.0383
Si 3.0575 3.0575 3.0575
Si 5.0959 5.0959 5.0959
O 2.0867 2.0867 2.0867
O 4.0283 4.0283 2.0867
O 4.0283 2.0867 4.0283
O 6.0666 4.1251 4.1251
O 2.0867 4.0283 4.0283
O 4.1251 6.0666 4.1251
O 4.1251 4.1251 6.0666
O 6.0666 6.0666 6.0666
```